(1)
DFT (meta-GGA r2SCAN) results for a relaxed structure of Lu6FeSb2.

Geometry as POSCAR:
```
Lu6FeSb2
1.0
7.9818 0.0003 0.0000
-3.9907 6.9120 0.0000
0.0000 0.0000 4.0886
Sb Lu Fe
2 6 1
Cartesian
3.9908 2.3038 0.0000
0.0006 4.6081 0.0000
-2.1018 6.9121 0.0000
0.8556 6.9121 2.0443
-0.9445 1.6359 0.0000
1.5680 2.7153 2.0443
3.0467 5.2765 0.0000
-2.4233 4.1973 2.0443
-3.9906 6.9120 2.0443
```

Output
* energy relative to the elements: -14.05 kcal/mol of atoms
* total moment: 0.81 μB per formula unit
* calculated total energy: -299.8 eV per formula unit
* volume: 225.6 Å³/cell


(2)
DFT (meta-GGA r2SCAN) results for a relaxed structure of U3Cu2S7.

Geometry as POSCAR:
```
U3Cu2S7
1.0
4.8826 -8.4509 0.0000
4.8772 8.4540 0.0000
0.0000 0.0000 5.7412
S U Cu
14 6 4
Cartesian
4.6200 0.7177 4.5047
6.8271 3.6449 4.5040
2.9326 -3.6420 1.6335
6.5710 -4.0905 1.6339
4.8808 -2.8159 4.3242
4.8791 2.8190 1.4536
4.6664 -6.2671 0.0672
3.1889 4.0936 4.5045
7.7609 0.9076 2.9378
1.9991 -0.9045 0.0673
5.1399 -0.7148 1.6340
5.0935 6.2703 2.9378
1.7828 1.2789 2.9378
7.9773 -1.2758 0.0672
5.2614 5.2380 0.1899
2.5930 1.9407 0.1901
7.1670 -1.9376 3.0607
6.7827 1.2784 0.1900
2.9772 -1.2754 3.0605
4.4985 -5.2349 3.0606
4.8772 2.8177 3.7121
0.0002 0.0003 5.7141
4.8822 -2.8151 0.8416
4.8772 8.4539 2.8434
```

Output
* energy relative to the elements: -34.14 kcal/mol of atoms
* total moment: 6.00 μB per formula unit
* calculated total energy: -335.5 eV per formula unit
* volume: 473.6 Å³/cell